Computed, not measured: a geometry-optimized MgFe4Hg2O8 structure at the GGA+U level of DFT.

Unit cell a=6.228 b=6.557 c=6.557 alpha=58.85 beta=61.65 gamma=61.65
Positions (direct):
Mg (0.900, 0.350, 0.350)
Fe (0.503, 0.487, 0.006)
Fe (0.503, 0.006, 0.487)
Fe (0.983, 0.547, 0.547)
Fe (0.424, 0.547, 0.547)
Hg (0.201, 0.049, 0.049)
Hg (0.848, 0.902, 0.902)
O (0.282, 0.242, 0.242)
O (0.733, 0.242, 0.242)
O (0.289, 0.661, 0.261)
O (0.289, 0.261, 0.661)
O (0.723, 0.730, 0.323)
O (0.723, 0.323, 0.730)
O (0.706, 0.753, 0.753)
O (0.288, 0.753, 0.753)

Output
Total energy ... -0.3992 Ry/atom
Offset from the most stable computed form ... 42 meV/atom
Formation energy ... -1.354 eV/atom